Entry 1:
The following is a DFT calculation (PBE with a Hubbard U) of Na5Fe3F14 after structural relaxation.

Unit cell a=7.4288 b=7.5287 c=12.8786 alpha=55.22 beta=90.00 gamma=90.00
With the nearest neighbours (Å) after each atom.
Fractional coordinates of all 44 atoms:
Na  0.6985  0.9944  0.2475  6 F 2.28-2.48
Na  0.8015  0.9944  0.7475  6 F 2.28-2.48
Na  0.3015  0.0056  0.7525  6 F 2.28-2.48
Na  0.2543  0.5108  0.2617  5 F 2.31-2.40
Na  0.7543  0.4892  0.2383  5 F 2.31-2.40
Na  0.2457  0.5108  0.7617  5 F 2.31-2.40
Na  0.0000  0.5000  0.5000  4 F 2.47-2.58
Na  0.5000  0.5000  0.0000  4 F 2.47-2.58
Na  0.7457  0.4892  0.7383  5 F 2.31-2.40
Na  0.1985  0.0056  0.2525  6 F 2.28-2.48
Fe  0.0000  0.0000  0.5000  6 F 1.94-2.01
Fe  0.5000  0.0000  0.5000  6 F 1.92-1.97
Fe  0.5000  0.0000  0.0000  6 F 1.94-2.01
Fe  0.0000  0.5000  0.0000  6 F 1.94-1.98
Fe  0.0000  0.0000  0.0000  6 F 1.92-1.97
Fe  0.5000  0.5000  0.5000  6 F 1.94-1.98
F  0.2913  0.6441  0.3910  1 Fe 1.95
F  0.5735  0.7494  0.5028  2 Fe 1.94-1.98
F  0.3375  0.3861  0.6428  1 Fe 1.94
F  0.0596  0.8125  0.1759  1 Fe 1.92
F  0.2087  0.6441  0.8910  1 Fe 1.95
F  0.4360  0.0488  0.1283  1 Fe 1.94
F  0.8375  0.6139  0.8572  1 Fe 1.94
F  0.0640  0.0488  0.6283  1 Fe 1.94
F  0.7913  0.3559  0.1090  1 Fe 1.95
F  0.2473  0.9934  0.9462  2 Fe 1.97-2.01
F  0.9360  0.9512  0.3717  1 Fe 1.94
F  0.6625  0.6139  0.3572  1 Fe 1.94
F  0.9942  0.3153  0.3816  1 Fe 1.96
F  0.0058  0.6847  0.6184  1 Fe 1.96
F  0.0735  0.2506  0.9972  2 Fe 1.94-1.98
F  0.5058  0.3153  0.8816  1 Fe 1.96
F  0.5596  0.1875  0.3241  1 Fe 1.92
F  0.7087  0.3559  0.6090  1 Fe 1.95
F  0.4404  0.8125  0.6759  1 Fe 1.92
F  0.4265  0.2506  0.4972  2 Fe 1.94-1.98
F  0.7527  0.0066  0.0538  2 Fe 1.97-2.01
F  0.2527  0.9934  0.4462  2 Fe 1.97-2.01
F  0.4942  0.6847  0.1184  1 Fe 1.96
F  0.9404  0.1875  0.8241  1 Fe 1.92
F  0.9265  0.7494  0.0028  2 Fe 1.94-1.98
F  0.1625  0.3861  0.1428  1 Fe 1.94
F  0.5640  0.9512  0.8717  1 Fe 1.94
F  0.7473  0.0066  0.5538  2 Fe 1.97-2.01

## Properties
Formation enthalpy at 0 K ... -2.838 eV per atom
Energy above the most stable polymorph in this dataset ... 0.0 kJ/mol of atoms
Total magnetization ... 5.0 μB per formula unit
E_tot ... -216.1 eV/cell
Energy with MP2020 corrections ... -242.5 eV/cell



Entry 2:
The following is a DFT calculation (PBE with a Hubbard U) of NaFeF4 after structural relaxation.

Unit cell a=5.4137 b=7.6379 c=7.9729 alpha=78.42 beta=90.00 gamma=90.00
With the nearest neighbours (Å) after each atom.
Fractional coordinates of all 24 atoms:
Na  0.2207  0.8847  0.3580  5 F 2.25-2.46
Na  0.7207  0.6153  0.6420  5 F 2.25-2.46
Na  0.7793  0.1153  0.6420  5 F 2.25-2.46
Na  0.2793  0.3847  0.3580  5 F 2.25-2.46
Fe  0.7431  0.6981  0.1721  6 F 1.89-2.01
Fe  0.2431  0.8019  0.8279  6 F 1.89-2.01
Fe  0.2569  0.3019  0.8279  6 F 1.89-2.01
Fe  0.7569  0.1981  0.1721  6 F 1.89-2.01
F  0.4759  0.1220  0.3089  1 Fe 1.89
F  0.9759  0.3780  0.6911  1 Fe 1.89
F  0.5241  0.8780  0.6911  1 Fe 1.89
F  0.0241  0.6220  0.3089  1 Fe 1.89
F  0.9535  0.1864  0.3740  1 Fe 1.92
F  0.4535  0.3136  0.6260  1 Fe 1.92
F  0.0465  0.8136  0.6260  1 Fe 1.92
F  0.5465  0.6864  0.3740  1 Fe 1.92
F  0.8589  0.9487  0.1688  2 Fe 1.99-2.01
F  0.3589  0.5513  0.8312  2 Fe 1.99-2.01
F  0.1411  0.0513  0.8312  2 Fe 1.99-2.01
F  0.6411  0.4487  0.1688  2 Fe 1.99-2.01
F  0.4379  0.7921  0.0416  2 Fe 1.99-2.01
F  0.9379  0.7079  0.9584  2 Fe 1.99-2.01
F  0.5621  0.2079  0.9584  2 Fe 1.99-2.01
F  0.0621  0.2921  0.0416  2 Fe 1.99-2.01

## Properties
Formation enthalpy at 0 K ... -2.792 eV per atom
E_tot ... -120.4 eV/cell
Energy with MP2020 corrections ... -136.8 eV/cell



Entry 3:
The following is a DFT calculation (PBE with a Hubbard U) of Na5Fe3F14 after structural relaxation.

Unit cell a=7.7238 b=7.7238 c=10.2881 alpha=90.00 beta=90.00 gamma=90.00
With the nearest neighbours (Å) after each atom.
Fractional coordinates of all 44 atoms:
Na  0.7731  0.7631  0.7604  5 F 2.33-2.59
Na  0.2269  0.2369  0.7604  5 F 2.33-2.59
Na  0.2731  0.7369  0.7396  5 F 2.33-2.59
Na  0.7269  0.2631  0.7396  5 F 2.33-2.59
Na  0.7631  0.7731  0.2396  5 F 2.33-2.59
Na  0.2369  0.2269  0.2396  5 F 2.33-2.59
Na  0.7369  0.2731  0.2604  5 F 2.33-2.59
Na  0.2631  0.7269  0.2604  5 F 2.33-2.59
Na  0.5000  0.5000  0.0000  8 F 2.74-2.77
Na  0.0000  0.0000  0.5000  8 F 2.74-2.77
Fe  0.0000  0.5000  0.9975  6 F 1.94-1.97
Fe  0.5000  0.0000  0.5025  6 F 1.94-1.97
Fe  0.5000  0.0000  0.0025  6 F 1.94-1.97
Fe  0.0000  0.5000  0.4975  6 F 1.94-1.97
Fe  0.5000  0.5000  0.5000  6 F 1.92-1.93
Fe  0.0000  0.0000  0.0000  6 F 1.92-1.93
F  0.1907  0.5020  0.8706  1 Fe 1.97
F  0.8093  0.4980  0.8706  1 Fe 1.97
F  0.6907  0.9980  0.6294  1 Fe 1.97
F  0.3093  0.0020  0.6294  1 Fe 1.97
F  0.5020  0.1907  0.1294  1 Fe 1.97
F  0.4980  0.8093  0.1294  1 Fe 1.97
F  0.9980  0.6907  0.3706  1 Fe 1.97
F  0.0020  0.3093  0.3706  1 Fe 1.97
F  0.5050  0.8159  0.8721  1 Fe 1.96
F  0.4950  0.1841  0.8721  1 Fe 1.96
F  0.0050  0.6841  0.6279  1 Fe 1.96
F  0.9950  0.3159  0.6279  1 Fe 1.96
F  0.8159  0.5050  0.1279  1 Fe 1.96
F  0.1841  0.4950  0.1279  1 Fe 1.96
F  0.6841  0.0050  0.3721  1 Fe 1.96
F  0.3159  0.9950  0.3721  1 Fe 1.96
F  0.9972  0.7507  0.9904  2 Fe 1.93-1.94
F  0.0028  0.2493  0.9904  2 Fe 1.93-1.94
F  0.4972  0.7493  0.5096  2 Fe 1.93-1.94
F  0.5028  0.2507  0.5096  2 Fe 1.93-1.94
F  0.7507  0.9972  0.0096  2 Fe 1.93-1.94
F  0.2493  0.0028  0.0096  2 Fe 1.93-1.94
F  0.7493  0.4972  0.4904  2 Fe 1.93-1.94
F  0.2507  0.5028  0.4904  2 Fe 1.93-1.94
F  0.5000  0.5000  0.6866  1 Fe 1.92
F  0.0000  0.0000  0.8134  1 Fe 1.92
F  0.5000  0.5000  0.3134  1 Fe 1.92
F  0.0000  0.0000  0.1866  1 Fe 1.92

## Properties
Formation enthalpy at 0 K ... -2.811 eV per atom
Energy above the most stable polymorph in this dataset ... 2.7 kJ/mol of atoms
Total magnetization ... 15.0 μB per formula unit
E_tot ... -214.9 eV/cell
Energy with MP2020 corrections ... -241.3 eV/cell



Entry 4:
The following is a DFT calculation (PBE with a Hubbard U) of NaFeF3 after structural relaxation.

Unit cell a=5.4197 b=5.4197 c=7.5182 alpha=90.00 beta=90.00 gamma=145.82
With the nearest neighbours (Å) after each atom.
Fractional coordinates of all 10 atoms:
Na  0.2530  0.7470  0.2500  6 F 2.32-2.50
Na  0.7470  0.2530  0.7500  6 F 2.32-2.50
Fe  0.0000  0.0000  0.5000  6 F 2.07-2.13
Fe  0.0000  0.0000  0.0000  6 F 2.07-2.13
F  0.9160  0.0840  0.2500  2 Fe 2.07
F  0.0840  0.9160  0.7500  2 Fe 2.07
F  0.3699  0.6301  0.5578  2 Fe 2.13
F  0.6301  0.3699  0.4422  2 Fe 2.13
F  0.3699  0.6301  0.9422  2 Fe 2.13
F  0.6301  0.3699  0.0578  2 Fe 2.13

## Properties
Formation enthalpy at 0 K ... -2.731 eV per atom
E_tot ... -51.1 eV/cell
Energy with MP2020 corrections ... -58.4 eV/cell